Te4Mo2WS2 GGA-PBE optimized geometry; energy above the most stable polymorph in this dataset = 0 meV per atom; SG = No. 187; spin magnetization = 0.00 μB per formula unit; electronic total energy = -6.548 eV/atom
1.0
1.711 -2.964 0.000
1.711 2.964 0.000
0.000 0.000 31.605
Te Mo W S
4 2 1 2
Cartesian
1.711 -0.988 22.435
1.711 -0.988 5.451
1.711 -0.988 26.154
1.711 -0.988 9.171
1.711 0.988 24.294
1.711 0.988 7.311
1.711 -0.988 0.000
1.711 0.988 1.502
1.711 0.988 30.104